## P
This record from Materials Project describes a relaxed MgZnBr4O7 crystal. The functional is PBE-GGA.

a = 7.373 Å, b = 12.794 Å, c = 11.071 Å
α = 90.00°, β = 110.36°, γ = 90.00°
Atoms (fractional coordinates):
Mg  0.500  0.000  0.500
Mg  0.500  0.500  0.000
Mg  0.500  0.000  0.000
Mg  0.500  0.500  0.500
Zn  0.211  0.214  0.151
Zn  0.211  0.286  0.651
Zn  0.789  0.786  0.849
Zn  0.789  0.714  0.349
Br  0.901  0.340  0.049
Br  0.901  0.160  0.549
Br  0.099  0.660  0.951
Br  0.099  0.840  0.451
Br  0.171  0.989  0.180
Br  0.171  0.511  0.680
Br  0.829  0.011  0.820
Br  0.829  0.489  0.320
Br  0.492  0.325  0.267
Br  0.492  0.175  0.767
Br  0.508  0.675  0.733
Br  0.508  0.825  0.233
Br  0.147  0.192  0.380
Br  0.147  0.308  0.880
Br  0.853  0.808  0.620
Br  0.853  0.692  0.120
O  0.253  0.904  0.371
O  0.253  0.596  0.871
O  0.747  0.096  0.629
O  0.747  0.404  0.129
O  0.361  0.141  0.503
O  0.361  0.359  0.003
O  0.639  0.859  0.497
O  0.639  0.641  0.997
O  0.539  0.068  0.331
O  0.539  0.432  0.831
O  0.461  0.932  0.669
O  0.461  0.568  0.169
O  0.500  0.143  0.924
O  0.500  0.357  0.424
O  0.500  0.857  0.076
O  0.500  0.643  0.576
O  0.211  0.085  0.062
O  0.211  0.415  0.562
O  0.789  0.915  0.938
O  0.789  0.585  0.438
O  0.681  0.053  0.181
O  0.681  0.447  0.681
O  0.319  0.947  0.819
O  0.319  0.553  0.319
O  0.679  0.022  0.295
O  0.679  0.478  0.795
O  0.321  0.978  0.705
O  0.321  0.522  0.205

Output
Theoretical density: 3.54 g/cm³

## Q
This record from Materials Project describes a relaxed MgZnBr4O7 crystal. The functional is PBE-GGA.

a = 14.860 Å, b = 6.323 Å, c = 11.774 Å
α = 66.68°, β = 90.00°, γ = 90.00°
Atoms (fractional coordinates):
Mg  0.000  0.500  0.500
Mg  0.500  0.500  0.000
Mg  0.000  0.500  0.000
Mg  0.500  0.500  0.500
Zn  0.739  0.791  0.218
Zn  0.761  0.791  0.718
Zn  0.261  0.209  0.782
Zn  0.239  0.209  0.282
Br  0.671  0.143  0.063
Br  0.829  0.143  0.563
Br  0.329  0.857  0.937
Br  0.171  0.857  0.437
Br  0.068  0.864  0.120
Br  0.432  0.864  0.620
Br  0.932  0.136  0.880
Br  0.568  0.136  0.380
Br  0.770  0.444  0.212
Br  0.730  0.444  0.712
Br  0.230  0.556  0.788
Br  0.270  0.556  0.288
Br  0.827  0.893  0.364
Br  0.673  0.893  0.864
Br  0.173  0.107  0.636
Br  0.327  0.107  0.136
O  0.065  0.803  0.385
O  0.435  0.803  0.885
O  0.935  0.197  0.615
O  0.565  0.197  0.115
O  0.873  0.628  0.467
O  0.627  0.628  0.967
O  0.127  0.372  0.533
O  0.373  0.372  0.033
O  0.986  0.485  0.308
O  0.514  0.485  0.808
O  0.014  0.515  0.692
O  0.486  0.515  0.192
O  0.900  0.317  0.952
O  0.600  0.317  0.452
O  0.100  0.683  0.048
O  0.400  0.683  0.548
O  0.910  0.861  0.987
O  0.590  0.861  0.487
O  0.090  0.139  0.013
O  0.410  0.139  0.513
O  0.982  0.281  0.185
O  0.518  0.281  0.685
O  0.018  0.719  0.815
O  0.482  0.719  0.315
O  0.998  0.283  0.298
O  0.502  0.283  0.798
O  0.002  0.717  0.702
O  0.498  0.717  0.202

Output
Theoretical density: 3.41 g/cm³

Which structure is the most stable? The one labeled Q.

## P
This record from Materials Project describes a relaxed TeBr6N2 crystal. The functional is PBE-GGA.

a = 7.644 Å, b = 7.644 Å, c = 7.644 Å
α = 60.00°, β = 60.00°, γ = 60.00°
Atoms (fractional coordinates):
Te  0.000  0.000  0.000
Br  0.761  0.761  0.239
Br  0.239  0.761  0.239
Br  0.761  0.239  0.239
Br  0.239  0.239  0.761
Br  0.761  0.239  0.761
Br  0.239  0.761  0.761
N  0.750  0.750  0.750
N  0.250  0.250  0.250

Output
Theoretical density: 3.34 g/cm³

## Q
This record from Materials Project describes a relaxed TeBr6N2 crystal. The functional is PBE-GGA.

a = 17.884 Å, b = 17.884 Å, c = 17.884 Å
α = 60.00°, β = 60.00°, γ = 60.00°
Atoms (fractional coordinates):
Te  0.875  0.375  0.375
Te  0.375  0.875  0.375
Te  0.375  0.375  0.875
Te  0.375  0.375  0.375
Te  0.375  0.875  0.875
Te  0.875  0.875  0.375
Te  0.875  0.375  0.875
Te  0.875  0.875  0.875
Br  0.976  0.476  0.293
Br  0.476  0.976  0.255
Br  0.293  0.255  0.976
Br  0.255  0.293  0.476
Br  0.476  0.293  0.976
Br  0.976  0.255  0.476
Br  0.255  0.976  0.293
Br  0.293  0.476  0.255
Br  0.293  0.976  0.476
Br  0.255  0.476  0.976
Br  0.976  0.293  0.255
Br  0.476  0.255  0.293
Br  0.774  0.274  0.457
Br  0.274  0.774  0.495
Br  0.457  0.495  0.774
Br  0.495  0.457  0.274
Br  0.274  0.457  0.774
Br  0.774  0.495  0.274
Br  0.495  0.774  0.457
Br  0.457  0.274  0.495
Br  0.457  0.774  0.274
Br  0.495  0.274  0.774
Br  0.774  0.457  0.495
Br  0.274  0.495  0.457
Br  0.476  0.793  0.976
Br  0.976  0.755  0.476
Br  0.793  0.476  0.755
Br  0.755  0.976  0.793
Br  0.976  0.476  0.793
Br  0.476  0.976  0.755
Br  0.755  0.793  0.476
Br  0.793  0.755  0.976
Br  0.793  0.976  0.476
Br  0.755  0.476  0.976
Br  0.476  0.755  0.793
Br  0.976  0.793  0.755
Br  0.274  0.957  0.774
Br  0.774  0.995  0.274
Br  0.957  0.274  0.995
Br  0.995  0.774  0.957
Br  0.774  0.274  0.957
Br  0.274  0.774  0.995
Br  0.995  0.957  0.274
Br  0.957  0.995  0.774
Br  0.957  0.774  0.274
Br  0.995  0.274  0.774
Br  0.274  0.995  0.957
Br  0.774  0.957  0.995
N  0.250  0.250  0.250
N  0.500  0.500  0.500
N  0.750  0.750  0.750
N  0.000  0.000  0.000
N  0.500  0.500  0.000
N  0.000  0.000  0.500
N  0.500  0.000  0.500
N  0.000  0.500  0.000
N  0.000  0.500  0.500
N  0.500  0.000  0.000
N  0.250  0.250  0.750
N  0.750  0.750  0.250
N  0.250  0.750  0.250
N  0.750  0.250  0.750
N  0.750  0.250  0.250
N  0.250  0.750  0.750

Output
Theoretical density: 2.09 g/cm³

Which structure is the most stable? The one labeled P.

## P
This record from Materials Project describes a relaxed VBr5N3 crystal. The functional is PBE-GGA.

a = 8.133 Å, b = 12.394 Å, c = 11.369 Å
α = 90.00°, β = 90.00°, γ = 90.00°
Atoms (fractional coordinates):
V  0.344  0.750  0.405
V  0.156  0.750  0.905
V  0.656  0.250  0.595
V  0.844  0.250  0.095
Br  0.311  0.530  0.361
Br  0.189  0.970  0.861
Br  0.689  0.030  0.639
Br  0.811  0.470  0.139
Br  0.689  0.470  0.639
Br  0.811  0.030  0.139
Br  0.311  0.970  0.361
Br  0.189  0.530  0.861
Br  0.057  0.750  0.456
Br  0.443  0.750  0.956
Br  0.943  0.250  0.544
Br  0.557  0.250  0.044
Br  0.056  0.750  0.200
Br  0.444  0.750  0.700
Br  0.944  0.250  0.800
Br  0.556  0.250  0.300
Br  0.575  0.750  0.280
Br  0.925  0.750  0.780
Br  0.425  0.250  0.720
Br  0.075  0.250  0.220
N  0.816  0.491  0.295
N  0.684  0.009  0.795
N  0.184  0.991  0.705
N  0.316  0.509  0.205
N  0.184  0.509  0.705
N  0.316  0.991  0.205
N  0.816  0.009  0.295
N  0.684  0.491  0.795
N  0.422  0.750  0.540
N  0.078  0.750  0.040
N  0.578  0.250  0.460
N  0.922  0.250  0.960

Output
Theoretical density: 2.85 g/cm³

## Q
This record from Materials Project describes a relaxed VBr5N3 crystal. The functional is PBE-GGA.

a = 6.903 Å, b = 10.402 Å, c = 13.596 Å
α = 90.00°, β = 90.00°, γ = 90.00°
Atoms (fractional coordinates):
V  0.649  0.250  0.590
V  0.851  0.250  0.090
V  0.351  0.750  0.410
V  0.149  0.750  0.910
Br  0.684  0.484  0.608
Br  0.816  0.016  0.108
Br  0.316  0.984  0.392
Br  0.184  0.516  0.892
Br  0.316  0.516  0.392
Br  0.184  0.984  0.892
Br  0.684  0.016  0.608
Br  0.816  0.484  0.108
Br  0.961  0.250  0.505
Br  0.539  0.250  0.005
Br  0.039  0.750  0.495
Br  0.461  0.750  0.995
Br  0.907  0.250  0.760
Br  0.593  0.250  0.260
Br  0.093  0.750  0.240
Br  0.407  0.750  0.740
Br  0.421  0.250  0.726
Br  0.079  0.250  0.226
Br  0.579  0.750  0.274
Br  0.921  0.750  0.774
N  0.151  0.501  0.646
N  0.349  0.999  0.146
N  0.849  0.001  0.354
N  0.651  0.499  0.854
N  0.849  0.499  0.354
N  0.651  0.001  0.854
N  0.151  0.999  0.646
N  0.349  0.501  0.146
N  0.511  0.250  0.494
N  0.989  0.250  0.994
N  0.489  0.750  0.506
N  0.011  0.750  0.006

Output
Theoretical density: 3.35 g/cm³

Which structure is the most stable? The one labeled P.

## P
This record from Materials Project describes a relaxed Nd3Br crystal. The functional is PBE-GGA.

a = 4.977 Å, b = 4.977 Å, c = 4.977 Å
α = 90.00°, β = 90.00°, γ = 90.00°
Atoms (fractional coordinates):
Nd  0.000  0.500  0.500
Nd  0.500  0.000  0.500
Nd  0.500  0.500  0.000
Br  0.000  0.000  0.000

Output
Theoretical density: 6.90 g/cm³

## Q
This record from Materials Project describes a relaxed Nd3Br crystal. The functional is PBE-GGA.

a = 7.170 Å, b = 7.170 Å, c = 5.601 Å
α = 90.00°, β = 90.00°, γ = 120.00°
Atoms (fractional coordinates):
Nd  0.169  0.339  0.250
Nd  0.661  0.831  0.250
Nd  0.169  0.831  0.250
Nd  0.831  0.661  0.750
Nd  0.339  0.169  0.750
Nd  0.831  0.169  0.750
Br  0.333  0.667  0.750
Br  0.667  0.333  0.250

Output
Theoretical density: 6.83 g/cm³

Which structure is the most stable? The one labeled P.